# 1
An optimized crystal structure of Lu2CdOs, computed with PBE.

```
data_Lu2CdOs
_chemical_formula_sum 'Lu2 Cd1 Os1'
_symmetry_space_group_name_H-M 'P 1'
_symmetry_Int_Tables_number 1
_cell_length_a 4.916
_cell_length_b 4.916
_cell_length_c 4.916
_cell_angle_alpha 60.00
_cell_angle_beta 60.00
_cell_angle_gamma 60.00
loop_
_symmetry_equiv_pos_as_xyz
'x,y,z'
loop_
_atom_site_label
_atom_site_type_symbol
_atom_site_fract_x
_atom_site_fract_y
_atom_site_fract_z
Os1 Os 0.000 0.000 0.000
Lu1 Lu 0.750 0.750 0.750
Cd1 Cd 0.500 0.500 0.500
Lu2 Lu 0.250 0.250 0.250
```

Summary:
mass density	12.90	g/cm3
E_tot	-5.5851	eV per atom
crystal system	cubic
SG	Fm-3m (225)
formation enthalpy at 0 K	-0.287	eV per atom

---

# 2
An optimized crystal structure of Ba3GeS5, computed with PBE.

```
data_Ba3GeS5
_chemical_formula_sum 'Ba12 Ge4 S20'
_symmetry_space_group_name_H-M 'P 1'
_symmetry_Int_Tables_number 1
_cell_length_a 8.742
_cell_length_b 9.668
_cell_length_c 12.210
_cell_angle_alpha 90.00
_cell_angle_beta 90.00
_cell_angle_gamma 90.00
loop_
_symmetry_equiv_pos_as_xyz
'x,y,z'
loop_
_atom_site_label
_atom_site_type_symbol
_atom_site_fract_x
_atom_site_fract_y
_atom_site_fract_z
S1 S 0.020 0.750 0.502
Ge1 Ge 0.306 0.250 0.900
S2 S 0.350 0.250 0.720
S3 S 0.650 0.750 0.280
S4 S 0.480 0.750 0.002
Ba1 Ba 0.923 0.519 0.318
Ge2 Ge 0.806 0.750 0.600
Ba2 Ba 0.077 0.481 0.682
Ba3 Ba 0.077 0.019 0.682
S5 S 0.320 0.440 0.443
Ba4 Ba 0.888 0.250 0.020
S6 S 0.680 0.560 0.557
Ba5 Ba 0.923 0.981 0.318
Ge3 Ge 0.194 0.250 0.400
S7 S 0.150 0.250 0.220
Ba6 Ba 0.577 0.981 0.818
Ba7 Ba 0.112 0.750 0.980
S8 S 0.181 0.750 0.233
S9 S 0.681 0.250 0.267
S10 S 0.980 0.250 0.498
Ba8 Ba 0.388 0.750 0.480
S11 S 0.319 0.750 0.733
S12 S 0.320 0.060 0.443
S13 S 0.180 0.440 0.943
S14 S 0.520 0.250 0.998
S15 S 0.820 0.940 0.057
Ba9 Ba 0.423 0.019 0.182
Ge4 Ge 0.694 0.750 0.100
S16 S 0.180 0.060 0.943
Ba10 Ba 0.577 0.519 0.818
S17 S 0.850 0.750 0.780
Ba11 Ba 0.423 0.481 0.182
S18 S 0.820 0.560 0.057
Ba12 Ba 0.612 0.250 0.520
S19 S 0.680 0.940 0.557
S20 S 0.819 0.250 0.767
```

Summary:
mass density	4.15	g/cm3
E_tot	-5.0344	eV per atom
crystal system	orthorhombic
SG	Pnma (62)
formation enthalpy at 0 K	-1.863	eV per atom

---

# 3
An optimized crystal structure of Cs3AlAs2, computed with PBE.

```
data_Cs3AlAs2
_chemical_formula_sum 'Cs24 Al8 As16'
_symmetry_space_group_name_H-M 'P 1'
_symmetry_Int_Tables_number 1
_cell_length_a 8.990
_cell_length_b 11.643
_cell_length_c 19.761
_cell_angle_alpha 79.97
_cell_angle_beta 90.00
_cell_angle_gamma 90.00
loop_
_symmetry_equiv_pos_as_xyz
'x,y,z'
loop_
_atom_site_label
_atom_site_type_symbol
_atom_site_fract_x
_atom_site_fract_y
_atom_site_fract_z
Cs1 Cs 0.589 0.260 0.578
As1 As 0.293 0.492 0.033
Al1 Al 0.946 0.463 0.573
Cs2 Cs 0.025 0.151 0.532
Al2 Al 0.554 0.463 0.073
As2 As 0.642 0.402 0.187
As3 As 0.660 0.057 0.436
As4 As 0.792 0.896 0.641
Cs3 Cs 0.911 0.260 0.078
Cs4 Cs 0.616 0.293 0.839
Cs5 Cs 0.056 0.918 0.243
Cs6 Cs 0.975 0.849 0.468
Cs7 Cs 0.411 0.740 0.422
Cs8 Cs 0.427 0.376 0.389
Al3 Al 0.054 0.537 0.427
Cs9 Cs 0.556 0.082 0.257
Cs10 Cs 0.884 0.293 0.339
As5 As 0.142 0.598 0.313
As6 As 0.358 0.598 0.813
Cs11 Cs 0.525 0.849 0.968
Al4 Al 0.113 0.044 0.946
Cs12 Cs 0.073 0.376 0.889
Cs13 Cs 0.927 0.624 0.111
As7 As 0.160 0.943 0.064
Al5 Al 0.613 0.956 0.554
Cs14 Cs 0.444 0.918 0.743
Cs15 Cs 0.755 0.639 0.789
Cs16 Cs 0.745 0.639 0.289
As8 As 0.708 0.896 0.141
As9 As 0.707 0.508 0.967
Cs17 Cs 0.089 0.740 0.922
As10 As 0.207 0.492 0.533
Al6 Al 0.446 0.537 0.927
As11 As 0.292 0.104 0.859
Al7 Al 0.887 0.956 0.054
Cs18 Cs 0.475 0.151 0.032
As12 As 0.858 0.402 0.687
Al8 Al 0.387 0.044 0.446
As13 As 0.208 0.104 0.359
Cs19 Cs 0.116 0.707 0.661
As14 As 0.840 0.057 0.936
Cs20 Cs 0.944 0.082 0.757
Cs21 Cs 0.573 0.624 0.611
Cs22 Cs 0.255 0.361 0.711
Cs23 Cs 0.384 0.707 0.161
As15 As 0.340 0.943 0.564
Cs24 Cs 0.245 0.361 0.211
As16 As 0.793 0.508 0.467
```

Summary:
mass density	3.75	g/cm3
E_tot	-3.1118	eV per atom
crystal system	monoclinic
SG	P2_1/c (14)
formation enthalpy at 0 K	-0.487	eV per atom